Compound: NdSi2
Source: the Materials Project database
Functional: GGA-PBE
Structure: relaxed

Summary:
For the formation energy from the elements, the calculation gives -0.56 eV/atom. Its space group is I4_1/amd, No. 141.

extended XYZ file:
```
6
Lattice="-2.090 2.090 7.107 2.090 -2.090 7.107 2.090 2.090 -7.107" Properties=species:S:1:pos:R:3 pbc="T T T"
Nd 2.090 1.045 1.777
Nd 0.000 1.045 5.330
Si 2.090 -1.045 4.140
Si 2.090 -1.045 6.521
Si 0.000 3.135 0.586
Si 0.000 3.135 2.967
```

---

Compound: Nd4Si5
Source: the Materials Project database
Functional: GGA-PBE
Structure: relaxed

Summary:
For the formation energy from the elements, the calculation gives -0.64 eV/atom. Its space group is Amm2, No. 38.

extended XYZ file:
```
9
Lattice="3.948 0.000 0.000 0.000 2.155 12.498 0.000 -2.155 12.498" Properties=species:S:1:pos:R:3 pbc="T T T"
Nd 0.000 0.000 0.000
Nd 0.000 0.000 6.779
Nd 1.974 0.000 3.273
Nd 1.974 0.000 10.081
Si 0.000 0.000 14.701
Si 0.000 0.000 17.057
Si 0.000 0.000 21.785
Si 1.974 0.000 13.253
Si 1.974 0.000 20.312
```

---

Compound: Nd5Si4
Source: the Materials Project database
Functional: GGA-PBE
Structure: relaxed

Summary:
The energy above the most stable polymorph in this dataset is 10 meV per atom. For the formation energy from the elements, the calculation gives -0.64 eV/atom. Its space group is Pnma, No. 62.

extended XYZ file:
```
36
Lattice="7.778 0.000 0.000 0.000 15.187 0.000 0.000 0.000 7.972" Properties=species:S:1:pos:R:3 pbc="T T T"
Nd 0.296 1.526 1.488
Nd 0.296 6.068 1.488
Nd 1.085 11.391 4.091
Nd 1.468 1.852 5.431
Nd 1.468 5.741 5.431
Nd 2.421 9.446 1.445
Nd 2.421 13.335 1.445
Nd 2.804 3.797 0.105
Nd 3.593 9.120 5.474
Nd 3.593 13.662 5.474
Nd 4.185 1.526 2.498
Nd 4.185 6.068 2.498
Nd 4.974 11.391 7.866
Nd 5.357 1.852 6.527
Nd 5.357 5.741 6.527
Nd 6.310 9.446 2.541
Nd 6.310 13.335 2.541
Nd 6.693 3.797 3.881
Nd 7.482 9.120 6.484
Nd 7.482 13.662 6.484
Si 0.140 11.391 0.790
Si 1.049 8.211 3.785
Si 1.049 14.570 3.785
Si 1.946 3.797 3.028
Si 1.943 11.391 7.014
Si 2.840 0.618 7.771
Si 2.840 6.976 7.771
Si 3.749 3.797 4.775
Si 4.029 11.391 3.196
Si 4.938 8.211 0.201
Si 4.938 14.570 0.201
Si 5.835 3.797 0.958
Si 5.832 11.391 4.944
Si 6.729 0.618 4.187
Si 6.729 6.976 4.187
Si 7.638 3.797 7.182
```

---

Compound: Nd3Si
Source: the Materials Project database
Functional: GGA-PBE
Structure: relaxed

Summary:
For the formation energy from the elements, the calculation gives -0.22 eV/atom. Its space group is P6_3/mmc, No. 194. The spin magnetization comes out at 0.00 μB per formula unit.

extended XYZ file:
```
8
Lattice="7.043 0.000 0.000 -3.522 6.100 0.000 0.000 0.000 5.116" Properties=species:S:1:pos:R:3 pbc="T T T"
Nd 0.000 2.200 1.279
Nd -1.616 5.000 1.279
Nd 1.905 1.100 3.837
Nd 1.616 5.000 1.279
Nd 5.138 1.100 3.837
Nd 3.522 3.900 3.837
Si 0.000 4.066 3.837
Si 3.522 2.033 1.279
```

---

Compound: Nd5Si4
Source: the Materials Project database
Functional: GGA-PBE
Structure: relaxed

Summary:
The energy above the most stable polymorph in this dataset is 0 meV per atom. For the formation energy from the elements, the calculation gives -0.65 eV/atom. Its space group is P4_12_12, No. 92.

extended XYZ file:
```
36
Lattice="7.894 0.000 0.000 0.000 7.894 0.000 0.000 0.000 15.137" Properties=species:S:1:pos:R:3 pbc="T T T"
Nd 0.090 2.978 0.784
Nd 0.148 6.890 1.878
Nd 0.969 4.037 4.568
Nd 1.004 7.746 5.691
Nd 1.511 6.383 11.353
Nd 2.436 2.436 7.569
Nd 2.943 3.799 13.231
Nd 2.978 0.090 14.353
Nd 3.799 2.943 1.907
Nd 3.857 6.925 3.000
Nd 4.037 0.969 10.569
Nd 4.095 4.952 9.476
Nd 4.916 7.804 6.785
Nd 4.952 4.095 5.662
Nd 5.458 5.458 0.000
Nd 6.383 1.511 3.784
Nd 6.890 0.148 13.260
Nd 6.925 3.857 12.137
Nd 7.746 1.004 9.446
Nd 7.804 4.916 8.353
Si 0.611 5.622 14.233
Si 1.338 1.534 12.091
Si 1.534 1.338 3.046
Si 1.675 3.336 10.449
Si 2.272 7.283 8.473
Si 2.413 5.285 0.738
Si 2.610 5.481 6.831
Si 3.336 1.675 4.688
Si 4.558 6.219 12.257
Si 5.285 2.413 14.399
Si 5.481 2.610 8.307
Si 5.622 0.611 0.904
Si 6.219 4.558 2.880
Si 6.360 6.557 10.615
Si 6.557 6.360 4.522
Si 7.283 2.272 6.665
```

---

Compound: NdSi2
Source: the Materials Project database
Functional: GGA-PBE
Structure: relaxed

Summary:
For the formation energy from the elements, the calculation gives -0.24 eV/atom. Its space group is Fd-3m, No. 227. The spin magnetization comes out at 0.00 μB per formula unit.

extended XYZ file:
```
6
Lattice="0.000 3.865 3.865 3.865 0.000 3.865 3.865 3.865 0.000" Properties=species:S:1:pos:R:3 pbc="T T T"
Nd 0.966 0.966 0.966
Nd 6.764 6.764 6.764
Si 3.865 1.933 1.933
Si 1.933 3.865 1.933
Si 1.933 1.933 3.865
Si 3.865 3.865 3.865
```

---

Compound: NdSi
Source: the Materials Project database
Functional: GGA-PBE
Structure: relaxed

Summary:
For the formation energy from the elements, the calculation gives -0.73 eV/atom. Its space group is Pnma, No. 62.

extended XYZ file:
```
8
Lattice="8.262 0.000 0.000 0.000 3.945 0.000 0.000 0.000 5.924" Properties=species:S:1:pos:R:3 pbc="T T T"
Nd 1.484 0.986 0.674
Nd 2.647 2.959 3.636
Nd 5.615 0.986 2.288
Nd 6.778 2.959 5.251
Si 0.292 0.986 3.685
Si 3.839 2.959 0.723
Si 4.423 0.986 5.202
Si 7.970 2.959 2.239
```

---

Compound: Nd2Si3
Source: the Materials Project database
Functional: GGA-PBE
Structure: relaxed

Summary:
The energy above the most stable polymorph in this dataset is 0 meV per atom. For the formation energy from the elements, the calculation gives -0.57 eV/atom. Its space group is Imm2, No. 44.

extended XYZ file:
```
5
Lattice="-1.972 2.106 7.078 1.972 -2.106 7.078 1.972 2.106 -7.078" Properties=species:S:1:pos:R:3 pbc="T T T"
Nd 0.000 0.000 0.000
Nd 0.000 2.106 3.588
Si 1.972 0.000 2.302
Si 1.972 0.000 4.643
Si 0.000 0.000 6.012
```

---

Compound: Nd5Si3
Source: the Materials Project database
Functional: GGA-PBE
Structure: relaxed

Summary:
The energy above the most stable polymorph in this dataset is 0 meV per atom. For the formation energy from the elements, the calculation gives -0.56 eV/atom. Its space group is I4/mcm, No. 140.

extended XYZ file:
```
16
Lattice="-3.912 3.912 6.959 3.912 -3.912 6.959 3.912 3.912 -6.959" Properties=species:S:1:pos:R:3 pbc="T T T"
Nd 0.000 0.000 0.000
Nd 5.303 1.391 -2.030
Nd 1.391 2.520 -2.030
Nd 5.303 1.391 2.030
Nd 1.391 2.520 2.030
Nd 0.000 0.000 6.959
Nd 2.520 1.391 4.929
Nd -1.391 2.520 4.929
Nd 2.520 1.391 8.989
Nd -1.391 2.520 8.989
Si 3.011 0.900 0.000
Si 0.000 0.000 3.479
Si 3.011 -0.900 6.959
Si 0.900 4.812 0.000
Si 0.000 0.000 10.438
Si 0.900 3.011 6.959
```

---

Compound: Nd5Si3
Source: the Materials Project database
Functional: GGA-PBE
Structure: relaxed

Summary:
The energy above the most stable polymorph in this dataset is 29 meV per atom. For the formation energy from the elements, the calculation gives -0.53 eV/atom. Its space group is P6_3/mcm, No. 193.

extended XYZ file:
```
16
Lattice="8.793 0.000 0.000 -4.396 7.615 0.000 0.000 0.000 6.665" Properties=species:S:1:pos:R:3 pbc="T T T"
Nd -1.075 1.863 1.666
Nd -3.321 5.752 4.999
Nd 2.151 0.000 1.666
Nd 1.075 1.863 4.999
Nd 0.000 5.076 0.000
Nd 0.000 5.076 3.333
Nd 4.396 2.538 0.000
Nd 4.396 2.538 3.333
Nd 6.642 0.000 4.999
Nd 3.321 5.752 1.666
Si -1.732 3.000 4.999
Si -2.664 4.615 1.666
Si 3.464 0.000 4.999
Si 1.732 3.000 1.666
Si 5.329 0.000 1.666
Si 2.664 4.615 4.999
```

---

Compound: Nd2Si3
Source: the Materials Project database
Functional: GGA-PBE
Structure: relaxed

Summary:
The energy above the most stable polymorph in this dataset is 165 meV per atom. For the formation energy from the elements, the calculation gives -0.41 eV/atom. Its space group is P-6m2, No. 187. The spin magnetization comes out at 0.00 μB per formula unit.

extended XYZ file:
```
5
Lattice="4.060 0.000 0.000 -2.030 3.516 0.000 0.000 0.000 8.253" Properties=species:S:1:pos:R:3 pbc="T T T"
Nd 0.000 0.000 2.034
Nd 0.000 0.000 6.219
Si 0.000 2.344 4.126
Si 2.030 1.172 0.000
Si 2.030 1.172 4.126
```

---

Compound: Nd3Sm
Source: the Materials Project database
Functional: GGA-PBE
Structure: relaxed

Summary:
The energy above the most stable polymorph in this dataset is 0 meV per atom. For the formation energy from the elements, the calculation gives 0.01 eV/atom. Its space group is Pm-3m, No. 221.

extended XYZ file:
```
4
Lattice="5.191 0.000 0.000 0.000 5.191 0.000 0.000 0.000 5.191" Properties=species:S:1:pos:R:3 pbc="T T T"
Nd 0.000 0.000 2.595
Nd 0.000 2.595 0.000
Nd 2.595 0.000 0.000
Sm 2.595 2.595 2.595
```

---

Compound: Nd3Sm
Source: the Materials Project database
Functional: GGA-PBE
Structure: relaxed

Summary:
The energy above the most stable polymorph in this dataset is 21 meV per atom. For the formation energy from the elements, the calculation gives 0.03 eV/atom. Its space group is P6_3/mmc, No. 194.

extended XYZ file:
```
8
Lattice="7.352 0.000 0.000 -3.676 6.367 0.000 0.000 0.000 6.052" Properties=species:S:1:pos:R:3 pbc="T T T"
Nd 0.000 2.124 1.513
Nd -1.837 5.305 1.513
Nd 1.839 1.062 4.539
Nd 1.837 5.305 1.513
Nd 5.512 1.062 4.539
Nd 3.676 4.243 4.539
Sm 0.000 4.244 4.539
Sm 3.676 2.122 1.513
```

---

Compound: Nd3Sn7
Source: the Materials Project database
Functional: GGA-PBE
Structure: relaxed

Summary:
For the formation energy from the elements, the calculation gives -0.59 eV/atom. Its space group is Cmmm, No. 65.

extended XYZ file:
```
10
Lattice="2.259 -13.363 0.000 2.259 13.363 0.000 0.000 0.000 4.588" Properties=species:S:1:pos:R:3 pbc="T T T"
Nd 0.000 0.000 0.000
Nd 2.259 8.429 0.000
Nd 2.259 -8.429 0.000
Sn 2.259 10.789 2.294
Sn 2.259 5.663 2.294
Sn 2.259 2.533 0.000
Sn 2.259 0.000 2.294
Sn 2.259 -2.533 0.000
Sn 2.259 -5.663 2.294
Sn 2.259 -10.789 2.294
```

---

Compound: Nd2Sn3
Source: the Materials Project database
Functional: GGA-PBE
Structure: relaxed

Summary:
For the formation energy from the elements, the calculation gives -0.70 eV/atom. Its space group is P-1, No. 2.

extended XYZ file:
```
20
Lattice="6.466 0.000 0.000 -1.499 8.388 0.000 -1.325 -3.645 10.560" Properties=species:S:1:pos:R:3 pbc="T T T"
Nd -0.691 0.465 4.681
Nd -0.743 -1.090 9.338
Nd 1.025 3.575 2.582
Nd 2.546 -0.009 1.730
Nd 1.097 4.752 8.830
Nd 2.617 1.169 7.977
Nd 4.386 5.833 1.221
Nd 4.334 4.278 5.878
Sn -2.139 3.955 9.290
Sn -0.620 1.866 7.634
Sn -0.406 6.270 3.844
Sn 1.089 -1.476 6.756
Sn -0.011 1.939 10.553
Sn 1.099 3.615 5.822
Sn 2.544 1.128 4.737
Sn 3.654 2.804 0.006
Sn 2.553 6.219 3.804
Sn 4.049 -1.527 6.715
Sn 4.262 2.877 2.926
Sn 5.782 0.788 1.270
```

---

Compound: NdSn3
Source: the Materials Project database
Functional: GGA-PBE
Structure: relaxed

Summary:
For the formation energy from the elements, the calculation gives -0.50 eV/atom. Its space group is Pm-3m, No. 221.

extended XYZ file:
```
4
Lattice="4.783 0.000 0.000 0.000 4.783 0.000 0.000 0.000 4.783" Properties=species:S:1:pos:R:3 pbc="T T T"
Nd 0.000 0.000 0.000
Sn 0.000 2.392 2.392
Sn 2.392 0.000 2.392
Sn 2.392 2.392 0.000
```

---

Compound: Nd11Sn10
Source: the Materials Project database
Functional: GGA-PBE
Structure: relaxed

Summary:
For the formation energy from the elements, the calculation gives -0.76 eV/atom. Its space group is I4/mmm, No. 139. The spin magnetization comes out at 1.42 μB per formula unit.

extended XYZ file:
```
42
Lattice="-5.995 5.995 8.913 5.995 -5.995 8.913 5.995 5.995 -8.913" Properties=species:S:1:pos:R:3 pbc="T T T"
Nd 5.995 2.975 -3.390
Nd 3.896 0.000 1.828
Nd 8.093 0.000 1.828
Nd 0.000 0.000 2.875
Nd 5.995 -2.098 7.085
Nd 2.975 5.995 -3.390
Nd 3.019 0.000 5.523
Nd 3.870 3.870 0.000
Nd 2.125 -2.125 8.913
Nd 0.000 3.896 1.828
Nd 5.995 2.975 3.390
Nd 0.000 3.019 5.523
Nd 5.995 2.098 7.085
Nd -2.125 2.125 8.913
Nd 2.125 2.125 8.913
Nd 2.975 5.995 3.390
Nd 3.019 0.000 12.303
Nd 0.000 8.093 1.828
Nd 0.000 0.000 14.951
Nd -2.098 5.995 7.085
Nd 2.098 5.995 7.085
Nd 0.000 3.019 12.303
Sn 2.500 2.500 -3.179
Sn 3.495 -3.495 5.734
Sn 1.497 1.497 0.000
Sn 4.497 -4.497 8.913
Sn 5.995 1.659 0.000
Sn 5.995 0.000 4.457
Sn 2.500 2.500 3.179
Sn 3.495 -3.495 12.092
Sn 0.000 0.000 6.927
Sn 1.659 5.995 0.000
Sn 4.336 0.000 8.913
Sn 0.000 0.000 10.899
Sn -3.495 3.495 5.734
Sn 3.495 3.495 5.734
Sn 0.000 5.995 4.457
Sn 0.000 4.336 8.913
Sn -4.497 4.497 8.913
Sn 4.497 4.497 8.913
Sn -3.495 3.495 12.092
Sn 3.495 3.495 12.092
```

---

Compound: Nd5Sn4
Source: the Materials Project database
Functional: GGA-PBE
Structure: relaxed

Summary:
For the formation energy from the elements, the calculation gives -0.75 eV/atom. Its space group is Pnma, No. 62.

extended XYZ file:
```
36
Lattice="8.330 0.000 0.000 0.000 16.008 0.000 0.000 0.000 8.469" Properties=species:S:1:pos:R:3 pbc="T T T"
Nd 0.147 1.587 1.531
Nd 0.147 6.417 1.531
Nd 1.098 9.927 2.855
Nd 1.098 14.085 2.855
Nd 1.660 4.002 4.255
Nd 2.504 12.006 0.020
Nd 3.066 1.923 7.090
Nd 3.066 6.081 7.090
Nd 4.018 9.591 5.766
Nd 4.018 14.420 5.766
Nd 4.312 1.587 2.704
Nd 4.312 6.417 2.704
Nd 5.263 9.927 1.380
Nd 5.263 14.085 1.380
Nd 5.825 4.002 8.449
Nd 6.669 12.006 4.215
Nd 7.231 1.923 5.614
Nd 7.231 6.081 5.614
Nd 8.183 9.591 6.938
Nd 8.183 14.420 6.938
Sn 0.568 4.002 7.497
Sn 1.475 12.006 5.438
Sn 1.743 0.678 4.537
Sn 1.743 7.326 4.537
Sn 2.422 8.682 0.302
Sn 2.422 15.330 0.302
Sn 2.690 4.002 1.203
Sn 3.597 12.006 3.262
Sn 4.733 4.002 5.207
Sn 5.640 12.006 7.266
Sn 5.908 0.678 8.167
Sn 5.908 7.326 8.167
Sn 6.586 8.682 3.932
Sn 6.586 15.330 3.932
Sn 6.855 4.002 3.031
Sn 7.762 12.006 0.972
```